YMg6Nb: relaxed, GGA-PBE.

Cell lengths 5.1490, 6.4274, 11.2075 Å; angles 90.00, 90.00, 90.00 degrees
Positions (direct):
Y: 0.5000 0.0000 0.1648
Y: 0.5000 0.5000 0.6648
Mg: 0.5000 0.2482 0.4174
Mg: 0.5000 0.7518 0.4174
Mg: 0.0000 0.7344 0.0874
Mg: 0.0000 0.2656 0.0874
Mg: 0.0000 0.0000 0.3359
Mg: 0.0000 0.5000 0.3251
Mg: 0.5000 0.7482 0.9174
Mg: 0.5000 0.2518 0.9174
Mg: 0.0000 0.2344 0.5874
Mg: 0.0000 0.7656 0.5874
Mg: 0.0000 0.5000 0.8359
Mg: 0.0000 0.0000 0.8251
Nb: 0.5000 0.5000 0.1647
Nb: 0.5000 0.0000 0.6647

Summary:
The calculation puts the total magnetic moment at 3.7 Bohr magnetons per cell. The value obtained for the uncorrected energy is -3.10 eV/atom. As for the energy above the lowest structure with this stoichiometry: 0.164 eV/f.u.